# 1
The following is a GGA-PBE calculation of a relaxed K3Sm crystal, from the Materials Project database.

Structure (POSCAR):
```
K3Sm
1.0
-2.953 2.953 6.593
2.953 -2.953 6.593
2.953 2.953 -6.593
K Sm
3 1
Direct
0.250 0.750 0.500
0.500 0.500 0.000
0.750 0.250 0.500
0.000 0.000 0.000
```

Magnetic moment = 0.2 μB/f.u.
DFT total energy = -5.8 eV/f.u.
SG = I4/mmm, No. 139
ΔE to the lowest computed polymorph = 0.02 eV/f.u.
Energy of formation from the pure elements = 0.565 eV per atom

# 2
The following is a GGA-PBE calculation of a relaxed K3Sn crystal, from the Materials Project database.

Structure (POSCAR):
```
K3Sn
1.0
-5.533 -2.849 0.843
-5.314 2.909 -1.655
-3.276 -2.027 -4.960
K Sn
3 1
Direct
0.750 0.750 0.750
0.250 0.250 0.250
0.500 0.500 0.500
0.000 0.000 0.000
```

Magnetic moment = 1.0 μB/f.u.
DFT total energy = -7.5 eV/f.u.
SG = Fm-3m, No. 225
Energy of formation from the pure elements = -0.040 eV per atom

# 3
The following is a GGA-PBE calculation of a relaxed K4Sn23 crystal, from the Materials Project database.

Structure (POSCAR):
```
K4Sn23
1.0
12.654 0.000 0.000
0.000 12.654 0.000
0.000 0.000 12.654
Sn K
46 8
Direct
0.000 0.692 0.882
0.618 0.808 0.500
0.118 0.000 0.692
0.382 0.192 0.500
0.184 0.816 0.816
0.500 0.618 0.192
0.684 0.684 0.316
0.500 0.250 0.000
0.500 0.382 0.192
0.750 0.000 0.500
0.316 0.684 0.316
0.692 0.118 0.000
0.808 0.500 0.382
0.684 0.684 0.684
0.000 0.308 0.882
0.816 0.184 0.816
0.882 0.000 0.692
0.000 0.500 0.250
0.308 0.118 0.000
0.316 0.316 0.684
0.192 0.500 0.382
0.618 0.192 0.500
0.882 0.000 0.308
0.816 0.816 0.184
0.000 0.308 0.118
0.316 0.316 0.316
0.184 0.816 0.184
0.184 0.184 0.816
0.684 0.316 0.684
0.684 0.316 0.316
0.316 0.684 0.684
0.816 0.184 0.184
0.184 0.184 0.184
0.692 0.882 0.000
0.192 0.500 0.618
0.816 0.816 0.816
0.808 0.500 0.618
0.000 0.692 0.118
0.382 0.808 0.500
0.500 0.750 0.000
0.250 0.000 0.500
0.308 0.882 0.000
0.000 0.500 0.750
0.500 0.382 0.808
0.500 0.618 0.808
0.118 0.000 0.308
0.000 0.250 0.500
0.500 0.500 0.500
0.000 0.750 0.500
0.000 0.000 0.000
0.250 0.500 0.000
0.500 0.000 0.750
0.750 0.500 0.000
0.500 0.000 0.250
```

DFT total energy = -99.9 eV/f.u.
SG = Pm-3n, No. 223
Energy of formation from the pure elements = -0.121 eV per atom

# 4
The following is a GGA-PBE calculation of a relaxed KSn3 crystal, from the Materials Project database.

Structure (POSCAR):
```
KSn3
1.0
-5.651 0.314 -5.023
-0.870 -3.883 6.436
-1.841 4.289 2.339
K Sn
2 6
Direct
0.667 0.333 0.250
0.333 0.667 0.750
0.282 0.141 0.750
0.859 0.141 0.750
0.718 0.859 0.250
0.859 0.718 0.750
0.141 0.859 0.250
0.141 0.282 0.250
```

DFT total energy = -13.7 eV/f.u.
SG = P6_3/mmc, No. 194
Energy of formation from the pure elements = -0.129 eV per atom

# 5
The following is a GGA-PBE calculation of a relaxed K6Sn25 crystal, from the Materials Project database.

Structure (POSCAR):
```
K6Sn25
1.0
16.612 0.000 0.000
0.000 16.612 0.000
0.000 0.000 16.612
Sn K
100 24
Direct
0.296 0.456 0.498
0.574 0.426 0.926
0.489 0.876 0.317
0.252 0.706 0.046
0.670 0.580 0.125
0.220 0.280 0.720
0.339 0.902 0.833
0.098 0.333 0.161
0.848 0.589 0.583
0.420 0.625 0.830
0.667 0.661 0.402
0.683 0.989 0.624
0.839 0.598 0.167
0.676 0.324 0.824
0.875 0.170 0.920
0.589 0.583 0.848
0.183 0.511 0.376
0.920 0.875 0.170
0.625 0.830 0.420
0.456 0.498 0.296
0.794 0.954 0.752
0.544 0.998 0.204
0.176 0.176 0.176
0.317 0.489 0.876
0.433 0.126 0.239
0.170 0.920 0.875
0.376 0.183 0.511
0.126 0.239 0.433
0.917 0.152 0.089
0.348 0.911 0.417
0.261 0.567 0.626
0.375 0.330 0.080
0.402 0.667 0.661
0.125 0.670 0.580
0.080 0.375 0.330
0.046 0.252 0.706
0.083 0.652 0.411
0.830 0.420 0.625
0.706 0.046 0.252
0.824 0.676 0.324
0.833 0.339 0.902
0.089 0.917 0.152
0.817 0.011 0.124
0.954 0.752 0.794
0.067 0.874 0.739
0.652 0.411 0.083
0.752 0.794 0.954
0.876 0.317 0.489
0.426 0.926 0.574
0.902 0.833 0.339
0.933 0.374 0.761
0.011 0.124 0.817
0.704 0.956 0.002
0.330 0.080 0.375
0.074 0.074 0.074
0.780 0.780 0.780
0.546 0.248 0.294
0.470 0.470 0.470
0.796 0.044 0.502
0.926 0.574 0.426
0.239 0.433 0.126
0.998 0.204 0.544
0.598 0.167 0.839
0.294 0.546 0.248
0.044 0.502 0.796
0.417 0.348 0.911
0.989 0.624 0.683
0.204 0.544 0.998
0.374 0.761 0.933
0.511 0.376 0.183
0.624 0.683 0.989
0.567 0.626 0.261
0.661 0.402 0.667
0.167 0.839 0.598
0.626 0.261 0.567
0.411 0.083 0.652
0.248 0.294 0.546
0.583 0.848 0.589
0.152 0.089 0.917
0.720 0.220 0.280
0.454 0.748 0.206
0.502 0.796 0.044
0.206 0.454 0.748
0.874 0.739 0.067
0.030 0.530 0.970
0.739 0.067 0.874
0.280 0.720 0.220
0.748 0.206 0.454
0.580 0.125 0.670
0.911 0.417 0.348
0.161 0.098 0.333
0.324 0.824 0.676
0.333 0.161 0.098
0.498 0.296 0.456
0.530 0.970 0.030
0.124 0.817 0.011
0.002 0.704 0.956
0.956 0.002 0.704
0.970 0.030 0.530
0.761 0.933 0.374
0.560 0.875 0.810
0.875 0.375 0.125
0.560 0.060 0.440
0.875 0.810 0.560
0.310 0.310 0.310
0.190 0.690 0.810
0.625 0.190 0.060
0.440 0.375 0.690
0.940 0.940 0.940
0.940 0.125 0.310
0.690 0.810 0.190
0.375 0.690 0.440
0.125 0.310 0.940
0.060 0.440 0.560
0.060 0.625 0.190
0.810 0.560 0.875
0.810 0.190 0.690
0.625 0.625 0.625
0.310 0.940 0.125
0.690 0.440 0.375
0.375 0.125 0.875
0.125 0.875 0.375
0.440 0.560 0.060
0.190 0.060 0.625
```

Magnetic moment = 0.0 μB/f.u.
DFT total energy = -111.4 eV/f.u.
SG = P4_332, No. 212
Energy of formation from the pure elements = -0.144 eV per atom

# 6
The following is a GGA-PBE calculation of a relaxed KSn2 crystal, from the Materials Project database.

Structure (POSCAR):
```
KSn2
1.0
0.055 6.656 0.675
5.142 -3.106 -2.946
-4.468 0.927 -8.775
Sn K
8 4
Direct
0.830 0.170 0.750
0.830 0.660 0.750
0.170 0.340 0.250
0.000 0.000 0.000
0.660 0.830 0.250
0.340 0.170 0.750
0.170 0.830 0.250
0.000 0.000 0.500
0.333 0.667 0.933
0.667 0.333 0.433
0.333 0.667 0.567
0.667 0.333 0.067
```

Magnetic moment = 0.0 μB/f.u.
DFT total energy = -9.6 eV/f.u.
SG = P6_3/mmc, No. 194
Energy of formation from the pure elements = -0.159 eV per atom

# 7
The following is a GGA-PBE calculation of a relaxed K3SnTe3 crystal, from the Materials Project database.

Structure (POSCAR):
```
K3SnTe3
1.0
13.883 0.000 0.000
0.000 9.728 0.000
0.000 4.402 8.698
K Sn Te
12 4 12
Direct
0.435 0.276 0.707
0.065 0.276 0.207
0.782 0.055 0.297
0.718 0.055 0.797
0.935 0.724 0.793
0.218 0.945 0.703
0.282 0.945 0.203
0.843 0.502 0.511
0.343 0.498 0.989
0.157 0.498 0.489
0.565 0.724 0.293
0.657 0.502 0.011
0.508 0.845 0.624
0.008 0.155 0.876
0.992 0.845 0.124
0.492 0.155 0.376
0.866 0.329 0.925
0.366 0.671 0.575
0.134 0.671 0.075
0.634 0.329 0.425
0.975 0.144 0.600
0.475 0.856 0.900
0.525 0.144 0.100
0.693 0.739 0.618
0.307 0.261 0.382
0.025 0.856 0.400
0.807 0.739 0.118
0.193 0.261 0.882
```

DFT total energy = -22.6 eV/f.u.
SG = P2_1/c, No. 14
Energy of formation from the pure elements = -1.011 eV per atom

# 8
The following is a GGA-PBE calculation of a relaxed K2SnTe3 crystal, from the Materials Project database.

Structure (POSCAR):
```
K2SnTe3
1.0
4.396 -11.714 0.000
4.396 11.714 0.000
0.000 0.000 8.838
Te K Sn
12 8 4
Direct
0.336 0.037 0.686
0.332 0.332 0.832
0.537 0.836 0.814
0.168 0.168 0.332
0.836 0.537 0.814
0.463 0.164 0.186
0.832 0.832 0.668
0.664 0.963 0.314
0.037 0.336 0.686
0.963 0.664 0.314
0.164 0.463 0.186
0.668 0.668 0.168
0.578 0.422 0.500
0.765 0.235 0.000
0.235 0.765 0.000
0.735 0.265 0.500
0.422 0.578 0.500
0.265 0.735 0.500
0.922 0.078 0.000
0.078 0.922 0.000
0.416 0.584 0.000
0.584 0.416 0.000
0.084 0.916 0.500
0.916 0.084 0.500
```

DFT total energy = -19.8 eV/f.u.
SG = Cmce, No. 64
Energy of formation from the pure elements = -0.899 eV per atom

The calculated density results, record by record, are as follows: 1.93; 2.24; 4.73; 5.07; 4.64; 4.79; 3.50; 4.23 Mg/m³.